(1)
Material: Y7C2I12N
Method: DFT, GGA-PBE
State: relaxed

Cell and atoms, written as extended XYZ:
```
44
Lattice="-5.215 8.000 -2.759 4.563 -4.960 -8.197 -13.991 -9.425 2.315" Properties=species:S:1:pos:R:3 pbc="T T T"
Y -5.268 -2.250 -1.954
Y -9.375 -4.136 -6.687
Y -12.582 -2.293 -5.554
Y -4.408 -1.995 -5.226
Y -2.173 -0.872 -0.984
Y -1.268 -0.633 -4.403
Y -13.375 -5.753 -4.237
Y -4.361 1.313 -3.132
Y -8.001 -1.649 -4.359
Y -2.061 -4.093 -3.087
Y -10.235 -4.390 -3.415
Y -10.282 -7.699 -5.509
Y -6.642 -4.737 -4.281
Y -12.470 -5.514 -7.656
C -11.742 -4.349 -5.546
C -3.455 -0.720 -3.121
C -11.188 -5.666 -5.520
C -2.901 -2.037 -3.095
I -7.582 -6.710 -6.768
I -3.643 -5.006 -5.639
I -8.734 -10.688 -5.485
I -10.011 -1.045 -6.904
I -14.947 0.431 -1.383
I -16.076 -3.432 0.069
I -2.045 2.401 -4.829
I 1.433 -2.954 -8.710
I -12.376 -5.311 -1.433
I -14.988 -3.132 -3.999
I -6.500 -2.876 -7.549
I -13.489 -9.243 0.301
I -11.000 -1.380 -3.002
I -4.632 -5.341 -1.737
I -2.267 -1.075 -7.208
I -12.598 -8.787 -3.812
I -8.143 -3.510 -1.091
I -8.591 -7.106 -2.854
I -1.154 2.857 -8.942
I -7.061 0.324 -1.873
I 0.345 -3.254 -4.642
I -5.909 4.302 -3.156
I 0.304 -6.817 -7.258
I -6.052 0.720 -5.787
N -8.587 -3.755 -4.688
N -6.056 -2.631 -3.953
```

Values from the calculation:
* energy of formation from the pure elements: -29.56 eV per formula unit


(2)
Material: Sr4Ta2O9
Method: DFT, GGA-PBE
State: relaxed

Cell and atoms, written as extended XYZ:
```
60
Lattice="5.812 0.000 0.000 0.000 10.229 0.000 0.000 10.018 14.840" Properties=species:S:1:pos:R:3 pbc="T T T"
Sr 0.000 10.123 7.420
Sr 0.000 0.000 0.000
Sr 0.002 10.295 3.470
Sr 2.808 11.661 8.962
Sr 2.990 1.922 1.135
Sr 0.084 13.316 6.285
Sr 5.714 13.595 13.298
Sr 2.908 4.943 3.951
Sr 2.906 5.009 7.420
Sr 2.904 15.304 10.890
Sr 2.906 5.114 0.000
Sr 0.098 6.652 1.542
Sr 5.728 6.931 8.555
Sr 2.822 18.325 13.705
Sr 3.004 8.586 5.878
Sr 5.810 9.951 11.371
Ta 2.859 11.715 12.359
Ta 2.960 11.877 4.936
Ta 5.765 13.540 9.901
Ta 0.054 3.361 2.484
Ta 5.758 16.885 12.356
Ta 0.047 6.706 4.939
Ta 2.852 8.370 9.904
Ta 2.953 8.532 2.481
O 3.307 10.146 10.969
O 1.857 10.366 13.296
O 4.547 10.921 5.529
O 1.915 11.317 6.470
O 4.498 11.416 13.352
O 0.587 1.721 1.601
O 5.238 12.142 8.664
O 1.222 12.265 11.145
O 4.203 2.421 3.313
O 1.297 12.817 4.107
O 4.128 12.990 11.116
O 2.332 13.114 13.596
O 3.493 13.517 5.819
O 1.592 13.840 8.908
O 4.821 3.921 0.950
O 1.641 4.317 1.891
O 4.763 14.890 8.964
O 0.401 15.109 11.291
O 5.411 5.137 3.549
O 1.049 5.357 5.876
O 4.171 15.929 12.949
O 0.991 16.326 13.891
O 4.220 6.407 5.932
O 2.319 6.730 9.021
O 3.480 7.133 1.244
O 1.684 7.256 3.724
O 4.515 7.430 10.733
O 1.609 17.825 11.527
O 4.590 7.982 3.696
O 0.574 8.105 6.176
O 5.225 18.526 13.239
O 1.314 8.831 1.488
O 3.897 8.929 8.370
O 1.265 9.326 9.312
O 3.955 9.881 1.544
O 2.505 10.101 3.871
```

Values from the calculation:
* E above lowest polymorph: 0.08 eV per formula unit
* energy of formation from the pure elements: -51.32 eV per formula unit


(3)
Material: ZrTiNi2H2
Method: DFT, GGA-PBE
State: relaxed

Cell and atoms, written as extended XYZ:
```
6
Lattice="1.655 -4.904 0.000 1.655 4.904 0.000 0.000 0.000 4.083" Properties=species:S:1:pos:R:3 pbc="T T T"
Zr 1.655 3.309 0.000
Ti 1.655 -3.741 2.041
Ni 1.655 -0.817 2.041
Ni 1.655 0.661 0.000
H 1.655 3.878 2.041
H 1.655 -3.290 0.000
```

Values from the calculation:
* energy of formation from the pure elements: -2.41 eV per formula unit


no.,size of the total moment (μB/atom),VASP energy (eV per atom),corrected total energy (MP2020 scheme) (eV/atom)
1,0.000,-5.434,-5.450
2,0.000,-8.010,-8.422
3,0.016,-6.140,-6.200